Below is CaTm2Te4 after structural relaxation, with properties calculated at the r²SCAN level.

Summary:
* energy of formation from the pure elements: -1.705 eV/atom
* magnetic moment: 0.00 μB per formula unit
* uncorrected energy: -27.269 eV per atom
* symmetry: No. 10

```
CaTm2Te4
1.0
7.452 0.000 0.000
0.000 4.361 0.000
-2.369 0.000 7.338
Ca Tm Te
1 2 4
Direct
0.000 0.000 0.000 Ca
0.000 0.500 0.500 Tm
0.500 0.000 0.500 Tm
0.245 0.000 0.735 Te
0.261 0.500 0.259 Te
0.739 0.500 0.741 Te
0.755 0.000 0.265 Te
```